(1)
Here is an optimized crystal structure of WO2F from the Materials Project database. Energies are from GGA+U.

Geometry as POSCAR:
```
WO2F
1.0
-3.115 -1.184 4.611
-0.274 -5.238 2.203
2.578 -1.019 4.758
W O F
2 4 2
direct
0.500 0.000 0.500 W
0.000 0.500 0.000 W
0.257 0.229 0.262 O
0.771 0.743 0.238 O
0.229 0.257 0.762 O
0.743 0.771 0.738 O
0.269 0.731 0.750 F
0.731 0.269 0.250 F
```

space group	No. 15
energy with MP2020 corrections	-8.5070	eV per atom
formation energy	-2.3148	eV per atom
energy above the most stable polymorph in this dataset	0.02	eV/f.u.
crystal system	monoclinic



(2)
Here is an optimized crystal structure of WO2F from the Materials Project database. Energies are from GGA+U.

Geometry as POSCAR:
```
WO2F
1.0
2.753 4.981 0.004
-2.753 4.981 0.004
0.000 3.040 4.586
W O F
2 4 2
direct
0.500 0.000 0.500 W
0.000 0.500 0.000 W
0.257 0.230 0.262 O
0.770 0.743 0.238 O
0.230 0.257 0.762 O
0.743 0.770 0.738 O
0.269 0.731 0.750 F
0.731 0.269 0.250 F
```

space group	No. 15
energy with MP2020 corrections	-8.5120	eV per atom
formation energy	-2.3199	eV per atom
energy above the most stable polymorph in this dataset	0.00	eV/f.u.
crystal system	monoclinic